Record 1
Computed, not measured: a relaxed HoGa6Co6 crystal at the GGA-PBE level of DFT.

Cell lengths 6.454, 6.454, 6.454 Å; angles 134.28, 101.32, 96.06 degrees
Sites, in units of the cell vectors:
Ho1 0.000 0.000 0.000
Ga1 0.186 0.686 0.500
Ga2 0.342 0.000 0.342
Ga3 0.345 0.345 0.000
Ga4 0.655 0.655 0.000
Ga5 0.658 0.000 0.658
Ga6 0.814 0.314 0.500
Co1 0.000 0.000 0.500
Co2 0.000 0.500 0.000
Co3 0.238 0.500 0.738
Co4 0.500 0.000 0.000
Co5 0.500 0.500 0.500
Co6 0.762 0.500 0.262

Raw total energy: -5.365 eV per atom
Formation enthalpy at 0 K: -334 meV/atom

---

Record 2
Computed, not measured: a relaxed La3Mg2TiS8 crystal at the GGA-PBE level of DFT.

Cell lengths 7.947, 7.947, 7.947 Å; angles 61.23, 61.23, 61.23 degrees
Sites, in units of the cell vectors:
La1 0.000 0.500 0.500
La2 0.500 0.000 0.500
La3 0.500 0.500 0.000
Mg1 0.125 0.125 0.125
Mg2 0.875 0.875 0.875
Ti1 0.500 0.500 0.500
S1 0.251 0.251 0.251
S2 0.263 0.730 0.730
S3 0.270 0.270 0.737
S4 0.270 0.737 0.270
S5 0.730 0.263 0.730
S6 0.730 0.730 0.263
S7 0.737 0.270 0.270
S8 0.749 0.749 0.749

Raw total energy: -5.885 eV per atom
Formation enthalpy at 0 K: -1958 meV/atom

---

Record 3
Computed, not measured: a relaxed Mg6CrFe crystal at the GGA-PBE level of DFT.

Cell lengths 4.861, 6.144, 10.427 Å; angles 90.00, 90.00, 90.00 degrees
Sites, in units of the cell vectors:
Mg1 0.000 0.246 0.911
Mg2 0.500 0.250 0.583
Mg3 0.500 0.750 0.083
Mg4 0.000 0.000 0.171
Mg5 0.000 0.754 0.911
Mg6 0.500 0.250 0.083
Mg7 0.000 0.254 0.411
Mg8 0.000 0.000 0.673
Mg9 0.500 0.750 0.583
Mg10 0.000 0.500 0.173
Mg11 0.000 0.500 0.671
Mg12 0.000 0.746 0.411
Cr1 0.500 0.500 0.834
Cr2 0.500 0.000 0.334
Fe1 0.500 0.000 0.834
Fe2 0.500 0.500 0.334

Raw total energy: -3.184 eV per atom
Distance to the lowest polymorph of the same formula: 0.004 eV/atom
Formation enthalpy at 0 K: 282 meV/atom